Entry 1:
DFT (PBE) results for an optimized crystal structure of K2ZnH8N4.

Cell and atoms, written as CIF:
```
data_K2ZnH8N4
_symmetry_space_group_name_H-M 'P 1 21/c 1'
_symmetry_Int_Tables_number 14
_symmetry_space_group_name_Hall '-P 2ybc'
_cell_length_a 7.719
_cell_length_b 7.330
_cell_length_c 13.451
_cell_angle_alpha 90.00
_cell_angle_beta 106.06
_cell_angle_gamma 90.00
loop_
_atom_site_label
_atom_site_fract_x
_atom_site_fract_y
_atom_site_fract_z
_atom_site_occupancy
K1 0.074 0.119 0.397 1
K2 0.422 0.630 0.101 1
Zn1 0.205 0.220 0.151 1
H1 0.084 0.618 0.482 1
H2 0.136 0.727 0.391 1
H3 0.149 0.590 0.734 1
H4 0.165 0.034 0.784 1
H5 0.355 0.585 0.735 1
H6 0.361 0.122 0.016 1
H7 0.372 0.032 0.785 1
H8 0.500 0.237 0.103 1
N1 0.058 0.739 0.442 1
N2 0.245 0.041 0.735 1
N3 0.257 0.502 0.748 1
N4 0.373 0.245 0.054 1
```

Summary:
ΔE to the lowest computed polymorph (eV/f.u.): 0.053

***

Entry 2:
DFT (PBE) results for an optimized crystal structure of Li3ZrO3.

Cell and atoms, written as CIF:
```
data_Li3ZrO3
_symmetry_space_group_name_H-M 'P 42/m n m'
_symmetry_Int_Tables_number 136
_symmetry_space_group_name_Hall '-P 4n 2n'
_cell_length_a 9.644
_cell_length_b 9.644
_cell_length_c 3.500
_cell_angle_alpha 90.00
_cell_angle_beta 90.00
_cell_angle_gamma 90.00
loop_
_atom_site_label
_atom_site_fract_x
_atom_site_fract_y
_atom_site_fract_z
_atom_site_occupancy
Li1 0.086 0.354 0.000 1
Li2 0.173 0.173 0.500 1
Zr1 0.119 0.881 0.000 1
O1 0.106 0.106 0.000 1
O2 0.116 0.671 0.000 1
```

***

Entry 3:
DFT (PBE) results for an optimized crystal structure of TlCSN.

Cell and atoms, written as CIF:
```
data_TlCSN
_symmetry_space_group_name_H-M 'P b c m'
_symmetry_Int_Tables_number 57
_symmetry_space_group_name_Hall '-P 2c 2b'
_cell_length_a 6.894
_cell_length_b 6.801
_cell_length_c 7.851
_cell_angle_alpha 90.00
_cell_angle_beta 90.00
_cell_angle_gamma 90.00
loop_
_atom_site_label
_atom_site_fract_x
_atom_site_fract_y
_atom_site_fract_z
_atom_site_occupancy
Tl1 0.210 0.250 0.000 1
C1 0.233 0.714 0.250 1
S1 0.394 0.610 0.750 1
N1 0.115 0.586 0.250 1
```

***

Entry 4:
DFT (PBE) results for an optimized crystal structure of CaWN3.

Cell and atoms, written as CIF:
```
data_CaWN3
_symmetry_space_group_name_H-M 'C 1 2/m 1'
_symmetry_Int_Tables_number 12
_symmetry_space_group_name_Hall '-C 2y'
_cell_length_a 14.556
_cell_length_b 3.646
_cell_length_c 5.830
_cell_angle_alpha 90.00
_cell_angle_beta 106.18
_cell_angle_gamma 90.00
loop_
_atom_site_label
_atom_site_fract_x
_atom_site_fract_y
_atom_site_fract_z
_atom_site_occupancy
Ca1 0.092 0.000 0.294 1
W1 0.157 0.500 0.875 1
N1 0.034 0.500 0.945 1
N2 0.130 0.500 0.555 1
N3 0.192 0.000 0.022 1
```

***

Looking at ΔE_f for the records above, in order, we have -0.4416 -2.5598 -0.1815 -0.8558 eV/atom.
Looking at E_tot for the records above, in order, we have -4.610 -6.425 -5.982 -8.634 eV per atom.